The following is a DFT calculation (PBE) of crystalline HgCNCl3 at its relaxed geometry.

Lattice parameters (Å, degrees): 7.9729 7.9729 9.8149 90.00 90.00 120.00
Space group P3_2 (No. 145)
Symmetry-distinct sites (fractional):
Hg: 0.0228 0.6848 0.0000
C: 0.0568 0.6718 0.4630
N: 0.3852 0.3301 0.2203
Cl: 0.0644 0.1520 0.5141
Cl: 0.1084 0.4671 0.8117
Cl: 0.5655 0.1515 0.4720

Results
Magnetic moment ... 1.4 μB per formula unit
MP2020-corrected energy ... -0.131 Ha/atom
ΔH_f (0 K) ... 0.34 eV per atom
Theoretical density ... 3.07 Mg/m³
V ... 540.33 Å³ per cell

***

The following is a DFT calculation (PBE) of crystalline HgC4NCl3 at its relaxed geometry.

Lattice parameters (Å, degrees): 7.9227 15.5053 9.4219 90.00 100.61 90.00
Space group P2_1 (No. 4)
Symmetry-distinct sites (fractional):
Hg: 0.0720 0.0000 0.2723
Hg: 0.3836 0.4436 0.6920
C: 0.0189 0.8919 0.4649
C: 0.0548 0.8404 0.7169
C: 0.0635 0.7926 0.8301
C: 0.0755 0.7494 0.9446
C: 0.4206 0.1643 0.0311
C: 0.4419 0.6868 0.4654
C: 0.4485 0.1686 0.9037
C: 0.4644 0.1699 0.7703
N: 0.0381 0.8665 0.5882
N: 0.4846 0.6789 0.3488
Cl: 0.0565 0.6855 0.0739
Cl: 0.0675 0.6089 0.6190
Cl: 0.2420 0.9282 0.1294
Cl: 0.2890 0.4480 0.9114
Cl: 0.4283 0.1731 0.2022
Cl: 0.4615 0.4322 0.4688

Results
Offset from the most stable computed form ... 0 meV/atom
Magnetic moment ... 2.0 μB per formula unit
MP2020-corrected energy ... -0.194 Ha/atom
ΔH_f (0 K) ... 0.39 eV per atom
Theoretical density ... 2.15 Mg/m³
V ... 1137.62 Å³ per cell

***

The following is a DFT calculation (PBE) of crystalline HgC8N2Cl4 at its relaxed geometry.

Lattice parameters (Å, degrees): 9.1222 13.8267 13.0357 90.00 90.26 90.00
Space group P2_1/c (No. 14)
Symmetry-distinct sites (fractional):
Hg: 0.2075 0.1136 0.3070
C: 0.1184 0.1303 0.7116
C: 0.2328 0.7420 0.5838
C: 0.2719 0.0943 0.8653
C: 0.2719 0.6833 0.0244
C: 0.2865 0.6733 0.1335
C: 0.2986 0.6015 0.8528
C: 0.3549 0.0726 0.9353
C: 0.4594 0.0417 0.0064
N: 0.1901 0.1157 0.7871
N: 0.2881 0.6420 0.9329
Cl: 0.0511 0.1154 0.1683
Cl: 0.1690 0.6299 0.5954
Cl: 0.3300 0.1344 0.4597
Cl: 0.4923 0.1128 0.1133

Results
Magnetic moment ... 0.0 μB per formula unit
MP2020-corrected energy ... -0.222 Ha/atom
ΔH_f (0 K) ... 0.51 eV per atom
Theoretical density ... 1.88 Mg/m³
V ... 1644.19 Å³ per cell

***

The following is a DFT calculation (PBE) of crystalline HgC4NCl3 at its relaxed geometry.

Lattice parameters (Å, degrees): 8.0334 13.6794 9.4877 90.00 105.18 90.00
Space group P2_1 (No. 4)
Symmetry-distinct sites (fractional):
Hg: 0.0471 0.0000 0.2268
Hg: 0.3696 0.5154 0.6868
C: 0.0199 0.1929 0.8654
C: 0.0243 0.5919 0.1552
C: 0.0369 0.1497 0.7429
C: 0.0883 0.1499 0.4921
C: 0.4268 0.8613 0.0018
C: 0.4416 0.8424 0.8729
C: 0.4587 0.8198 0.7444
C: 0.4664 0.2697 0.4824
N: 0.0756 0.1509 0.6145
N: 0.4641 0.8038 0.6198
Cl: 0.0343 0.2886 0.9762
Cl: 0.0603 0.4046 0.6015
Cl: 0.2803 0.0724 0.1543
Cl: 0.2846 0.5433 0.9120
Cl: 0.4049 0.5886 0.4684
Cl: 0.4396 0.8126 0.3421

Results
Offset from the most stable computed form ... 76 meV/atom
Magnetic moment ... 0.0 μB per formula unit
MP2020-corrected energy ... -0.192 Ha/atom
ΔH_f (0 K) ... 0.46 eV per atom
Theoretical density ... 2.44 Mg/m³
V ... 1006.26 Å³ per cell

***

The following is a DFT calculation (PBE) of crystalline HgCN2Cl2O at its relaxed geometry.

Lattice parameters (Å, degrees): 7.4936 10.3669 11.5783 75.35 77.17 84.25
Space group P-1 (No. 2)
Symmetry-distinct sites (fractional):
Hg: 0.1901 0.4196 0.1266
Hg: 0.2106 0.1566 0.4871
C: 0.3019 0.7408 0.6256
C: 0.3409 0.7927 0.9673
N: 0.2054 0.6278 0.6877
N: 0.2341 0.6606 0.5668
N: 0.2985 0.0323 0.9519
N: 0.3118 0.9113 0.9618
Cl: 0.1232 0.3348 0.9765
Cl: 0.1583 0.0606 0.3383
Cl: 0.2556 0.2585 0.6315
Cl: 0.2670 0.4840 0.2850
O: 0.3695 0.6770 0.9663
O: 0.3801 0.8365 0.6260

Results
Offset from the most stable computed form ... 0 meV/atom
Magnetic moment ... 1.0 μB per formula unit
MP2020-corrected energy ... -0.185 Ha/atom
ΔH_f (0 K) ... -0.04 eV per atom
Theoretical density ... 2.57 Mg/m³
V ... 847.58 Å³ per cell

***

The following is a DFT calculation (PBE) of crystalline HgCN2Cl2O at its relaxed geometry.

Lattice parameters (Å, degrees): 7.4074 9.3194 11.0644 74.70 76.86 81.77
Space group P-1 (No. 2)
Symmetry-distinct sites (fractional):
Hg: 0.2084 0.4047 0.1221
Hg: 0.2134 0.1581 0.4872
C: 0.3016 0.7418 0.6230
C: 0.3311 0.7937 0.9615
N: 0.2056 0.6203 0.6951
N: 0.2238 0.6533 0.5689
N: 0.2772 0.8964 0.0365
N: 0.3013 0.9460 0.9103
Cl: 0.1575 0.2962 0.9688
Cl: 0.1681 0.0481 0.3314
Cl: 0.2609 0.2671 0.6394
Cl: 0.2656 0.4990 0.2821
O: 0.3744 0.6684 0.9481
O: 0.3840 0.8475 0.6151

Results
Offset from the most stable computed form ... 10 meV/atom
Magnetic moment ... 0.0 μB per formula unit
MP2020-corrected energy ... -0.184 Ha/atom
ΔH_f (0 K) ... -0.03 eV per atom
Theoretical density ... 3.04 Mg/m³
V ... 714.62 Å³ per cell

***

The following is a DFT calculation (PBE) of crystalline HgCSN2Cl2 at its relaxed geometry.

Lattice parameters (Å, degrees): 8.8117 4.1078 9.7959 90.00 91.66 90.00
Space group P2_1 (No. 4)
Symmetry-distinct sites (fractional):
Hg: 0.1695 0.0000 0.3918
C: 0.2267 0.9714 0.0504
S: 0.0701 0.9759 0.1377
N: 0.3341 0.9654 0.9807
N: 0.4099 0.5187 0.7567
Cl: 0.1113 0.0115 0.6362
Cl: 0.3489 0.5007 0.3631

Results
Magnetic moment ... 3.1 μB per formula unit
MP2020-corrected energy ... -0.155 Ha/atom
ΔH_f (0 K) ... 0.64 eV per atom
Theoretical density ... 3.22 Mg/m³
V ... 354.43 Å³ per cell

***

The following is a DFT calculation (PBE) of crystalline HoC8N4Cl7 at its relaxed geometry.

Lattice parameters (Å, degrees): 9.0367 14.4694 8.5891 90.00 90.00 90.00
Space group P2_12_12 (No. 18)
Symmetry-distinct sites (fractional):
Ho: 0.0000 0.0000 0.1954
C: 0.0664 0.6693 0.8490
C: 0.1810 0.6489 0.1141
C: 0.2082 0.4688 0.4554
C: 0.2429 0.3285 0.6226
N: 0.1345 0.6552 0.9672
N: 0.2161 0.4006 0.5531
Cl: 0.0000 0.5000 0.4141
Cl: 0.1368 0.1147 0.8769
Cl: 0.1487 0.0928 0.3889
Cl: 0.1998 0.8951 0.0900

Results
Magnetic moment ... 0.0 μB per formula unit
MP2020-corrected energy ... -0.213 Ha/atom
ΔH_f (0 K) ... 0.44 eV per atom
Theoretical density ... 1.67 Mg/m³
V ... 1123.08 Å³ per cell

***

The following is a DFT calculation (PBE) of crystalline K3IrC4Cl2O9 at its relaxed geometry.

Lattice parameters (Å, degrees): 27.9520 7.6949 14.5023 90.00 121.15 90.00
Space group C2/c (No. 15)
Symmetry-distinct sites (fractional):
K: 0.0222 0.1651 0.4019
K: 0.1405 0.3833 0.0057
K: 0.1806 0.2427 0.3494
Ir: 0.1128 0.1741 0.7013
C: 0.0192 0.4003 0.6309
C: 0.0694 0.4947 0.7266
C: 0.1857 0.2402 0.6227
C: 0.2228 0.1579 0.7356
Cl: 0.0949 0.0654 0.8325
Cl: 0.0976 0.0943 0.1120
O: 0.0272 0.4708 0.9193
O: 0.0305 0.2465 0.6090
O: 0.0635 0.3641 0.2610
O: 0.1179 0.4172 0.7674
O: 0.1344 0.2749 0.5957
O: 0.1969 0.1182 0.7858
O: 0.2049 0.2766 0.5643
O: 0.2262 0.3617 0.2260
O: 0.2423 0.3267 0.9876

Results
Magnetic moment ... 0.0 μB per formula unit
MP2020-corrected energy ... -0.237 Ha/atom
ΔH_f (0 K) ... -1.34 eV per atom
Theoretical density ... 2.85 Mg/m³
V ... 2669.52 Å³ per cell